KH4F5 (PBE, optimized geometry); M_tot = 0.00 μB/atom; raw total energy = -85.42 eV/cell
1.0
-3.425 3.425 5.589
3.425 -3.425 5.589
3.425 3.425 -5.589
K H F
2 8 10
direct
0.375 0.125 0.250
0.625 0.875 0.750
0.037 0.574 0.858
0.074 0.716 0.537
0.216 0.179 0.642
0.321 0.463 0.037
0.679 0.537 0.963
0.784 0.821 0.358
0.926 0.284 0.463
0.963 0.426 0.142
0.013 0.289 0.066
0.125 0.375 0.750
0.211 0.777 0.725
0.277 0.053 0.566
0.447 0.513 0.225
0.553 0.487 0.775
0.723 0.947 0.434
0.789 0.223 0.275
0.875 0.625 0.250
0.987 0.711 0.934


CuSn (PBE, optimized geometry); raw total energy = -16.31 eV/cell
1.0
4.175 0.000 0.000
-2.088 3.616 0.000
0.000 0.000 5.097
Cu Sn
2 2
direct
0.000 0.000 0.000
0.000 0.000 0.500
0.333 0.667 0.250
0.667 0.333 0.750


ErMgAg (PBE, optimized geometry); raw total energy = -29.40 eV/cell
1.0
7.538 0.000 0.000
-3.769 6.528 0.000
0.000 0.000 4.283
Er Mg Ag
3 3 3
direct
0.000 0.585 0.000
0.415 0.415 0.000
0.585 0.000 0.000
0.000 0.245 0.500
0.245 0.000 0.500
0.755 0.755 0.500
0.000 0.000 0.000
0.333 0.667 0.500
0.667 0.333 0.500


NaAc3 (PBE, optimized geometry); energy relative to the lowest polymorph listed for this composition = 0.000 eV/atom; M_tot = 0.00 μB/atom
1.0
5.579 0.000 0.000
0.000 5.579 0.000
0.000 0.000 5.579
Na Ac
1 3
direct
0.000 0.000 0.000
0.000 0.500 0.500
0.500 0.000 0.500
0.500 0.500 0.000


MgHg22N6 (PBE, optimized geometry); energy relative to the lowest polymorph listed for this composition = 0.080 eV/atom; M_tot = 0.07 μB/atom
1.0
-4.239 4.239 9.760
4.239 -4.239 9.760
4.239 4.239 -9.760
Mg Hg N
1 22 6
direct
0.000 0.000 0.000
0.021 0.882 0.620
0.083 0.493 0.732
0.118 0.738 0.139
0.239 0.649 0.732
0.250 0.750 0.500
0.262 0.401 0.380
0.283 0.283 0.000
0.351 0.083 0.589
0.401 0.021 0.139
0.426 0.426 0.000
0.493 0.761 0.411
0.507 0.239 0.589
0.574 0.574 0.000
0.599 0.979 0.861
0.649 0.917 0.411
0.717 0.717 0.000
0.738 0.599 0.620
0.750 0.250 0.500
0.761 0.351 0.268
0.882 0.262 0.861
0.917 0.507 0.268
0.979 0.118 0.380
0.101 0.755 0.856
0.169 0.169 0.000
0.245 0.101 0.346
0.755 0.899 0.654
0.831 0.831 0.000
0.899 0.245 0.144


Na6La3NbSi2P4O24 (PBE, optimized geometry); energy relative to the lowest polymorph listed for this composition = 0.005 eV/atom; M_tot = 0.00 μB/atom
1.0
-3.421 -16.155 -1.757
0.638 -1.227 9.375
-6.504 6.964 1.256
Si Nb Na O La P
4 2 12 48 6 8
direct
0.351 0.913 0.757
0.149 0.611 0.252
0.649 0.111 0.252
0.851 0.413 0.757
0.897 0.744 0.950
0.397 0.244 0.950
0.184 0.921 0.304
0.004 0.570 0.750
0.004 0.410 0.244
0.749 0.760 0.503
0.249 0.260 0.503
0.684 0.421 0.304
0.312 0.592 0.708
0.752 0.251 0.999
0.504 0.070 0.750
0.252 0.751 0.999
0.504 0.910 0.244
0.812 0.092 0.708
0.754 0.830 0.774
0.558 0.319 0.760
0.567 0.842 0.572
0.454 0.131 0.416
0.166 0.668 0.427
0.766 0.335 0.759
0.769 0.648 0.247
0.666 0.168 0.427
0.431 0.528 0.610
0.727 0.193 0.226
0.058 0.819 0.760
0.151 0.439 0.255
0.351 0.932 0.216
0.042 0.961 0.394
0.266 0.835 0.759
0.149 0.361 0.889
0.438 0.437 0.074
0.912 0.147 0.213
0.959 0.362 0.919
0.459 0.862 0.919
0.913 0.847 0.775
0.348 0.090 0.782
0.073 0.127 0.235
0.847 0.391 0.580
0.530 0.168 0.088
0.670 0.060 0.748
0.030 0.668 0.088
0.347 0.891 0.580
0.413 0.347 0.775
0.227 0.693 0.226
0.848 0.590 0.782
0.651 0.939 0.255
0.649 0.861 0.889
0.542 0.461 0.394
0.931 0.028 0.610
0.412 0.647 0.213
0.067 0.342 0.572
0.254 0.330 0.774
0.858 0.665 0.096
0.170 0.560 0.748
0.573 0.627 0.235
0.269 0.148 0.247
0.954 0.631 0.416
0.056 0.023 0.930
0.851 0.432 0.216
0.556 0.523 0.930
0.358 0.165 0.096
0.938 0.937 0.074
0.108 0.253 0.054
0.608 0.753 0.054
0.601 0.266 0.564
0.101 0.766 0.564
0.399 0.737 0.441
0.899 0.237 0.441
0.856 0.594 0.246
0.159 0.397 0.744
0.493 0.432 0.770
0.659 0.897 0.744
0.356 0.094 0.246
0.993 0.932 0.770
0.490 0.545 0.228
0.990 0.045 0.228


Volume in A^3/atom, matching the order above: 13.11; 19.24; 23.42; 43.41; 24.19; 15.41